DFT (PBE-GGA) results for a relaxed Ta3InO9 crystal.

Calculated values
* offset from the most stable computed form: 0 meV per atom
* size of the total moment: 0.0 μB per formula unit
* E_form: -3038 meV/atom
* MP2020-corrected energy: -0.3459 Ha/atom

Lattice parameters (Å, degrees): 5.1966 7.4905 8.3717 90.00 92.24 90.00
Fractional positions:
Ta 0.0000 0.0000 0.0000
Ta 0.0000 0.5000 0.0000
Ta 0.4707 0.0066 0.6948
Ta 0.4707 0.4934 0.6948
Ta 0.5293 0.5066 0.3052
Ta 0.5293 0.9934 0.3052
In 0.0286 0.2500 0.4403
In 0.9714 0.7500 0.5597
O 0.1001 0.2500 0.9752
O 0.1492 0.5681 0.7858
O 0.1492 0.9319 0.7858
O 0.2549 0.5508 0.4715
O 0.2549 0.9492 0.4715
O 0.3282 0.2500 0.6506
O 0.3293 0.5550 0.1210
O 0.3293 0.9450 0.1210
O 0.4009 0.2500 0.3193
O 0.5991 0.7500 0.6807
O 0.6707 0.0550 0.8790
O 0.6707 0.4450 0.8790
O 0.6718 0.7500 0.3494
O 0.7451 0.0508 0.5285
O 0.7451 0.4492 0.5285
O 0.8508 0.0681 0.2142
O 0.8508 0.4319 0.2142
O 0.8999 0.7500 0.0248

DFT (PBE-GGA) results for a relaxed TaIn3O7 crystal.

Calculated values
* offset from the most stable computed form: 9 meV per atom
* size of the total moment: 0.0 μB per formula unit
* piezoelectric modulus e_max: 0.27 C/m2
* E_form: -2335 meV/atom
* MP2020-corrected energy: -0.2687 Ha/atom

Lattice parameters (Å, degrees): 6.4305 6.4305 7.3165 90.00 90.00 108.48
Fractional positions:
Ta 0.0096 0.0096 0.0000
Ta 0.9904 0.9904 0.5000
In 0.0011 0.4787 0.2441
In 0.4551 0.4551 0.5000
In 0.4787 0.0011 0.7559
In 0.5213 0.9989 0.2559
In 0.5449 0.5449 0.0000
In 0.9989 0.5213 0.7441
O 0.0479 0.3177 0.9667
O 0.0560 0.9440 0.7500
O 0.0803 0.3314 0.5193
O 0.3177 0.0479 0.0333
O 0.3314 0.0803 0.4807
O 0.3575 0.6425 0.7500
O 0.3725 0.6275 0.2500
O 0.6275 0.3725 0.7500
O 0.6425 0.3575 0.2500
O 0.6686 0.9197 0.9807
O 0.6823 0.9521 0.5333
O 0.9197 0.6686 0.0193
O 0.9440 0.0560 0.2500
O 0.9521 0.6823 0.4667

DFT (PBE-GGA) results for a relaxed Ta3InO9 crystal.

Calculated values
* offset from the most stable computed form: 43 meV per atom
* size of the total moment: 0.0 μB per formula unit
* E_form: -2995 meV/atom
* MP2020-corrected energy: -0.3443 Ha/atom

Lattice parameters (Å, degrees): 6.3994 7.6401 12.7166 90.00 90.00 90.00
Fractional positions:
Ta 0.0000 0.0000 0.0000
Ta 0.0000 0.5000 0.0000
Ta 0.2060 0.0026 0.2869
Ta 0.2060 0.4974 0.2869
Ta 0.2940 0.5026 0.7869
Ta 0.2940 0.9974 0.7869
Ta 0.5000 0.0000 0.5000
Ta 0.5000 0.5000 0.5000
Ta 0.7060 0.0026 0.2131
Ta 0.7060 0.4974 0.2131
Ta 0.7940 0.5026 0.7131
Ta 0.7940 0.9974 0.7131
In 0.0525 0.2500 0.5475
In 0.4475 0.7500 0.0475
In 0.5525 0.2500 0.9525
In 0.9475 0.7500 0.4525
O 0.0157 0.0408 0.1562
O 0.0157 0.4592 0.1562
O 0.0954 0.7500 0.0224
O 0.1006 0.0363 0.6669
O 0.1006 0.4637 0.6669
O 0.1671 0.2500 0.3258
O 0.2054 0.5490 0.4631
O 0.2054 0.9510 0.4631
O 0.2109 0.7500 0.2989
O 0.2891 0.2500 0.7989
O 0.2946 0.0490 0.9631
O 0.2946 0.4510 0.9631
O 0.3329 0.7500 0.8258
O 0.3994 0.5363 0.1669
O 0.3994 0.9637 0.1669
O 0.4046 0.2500 0.5224
O 0.4843 0.5408 0.6562
O 0.4843 0.9592 0.6562
O 0.5157 0.0408 0.3438
O 0.5157 0.4592 0.3438
O 0.5954 0.7500 0.4776
O 0.6006 0.0363 0.8331
O 0.6006 0.4637 0.8331
O 0.6671 0.2500 0.1742
O 0.7054 0.5490 0.0369
O 0.7054 0.9510 0.0369
O 0.7109 0.7500 0.2011
O 0.7891 0.2500 0.7011
O 0.7946 0.0490 0.5369
O 0.7946 0.4510 0.5369
O 0.8329 0.7500 0.6742
O 0.8994 0.5363 0.3331
O 0.8994 0.9637 0.3331
O 0.9046 0.2500 0.9776
O 0.9843 0.5408 0.8438
O 0.9843 0.9592 0.8438

DFT (PBE-GGA) results for a relaxed TaIn3O7 crystal.

Calculated values
* offset from the most stable computed form: 11 meV per atom
* size of the total moment: 0.0 μB per formula unit
* E_form: -2332 meV/atom
* MP2020-corrected energy: -0.2686 Ha/atom

Lattice parameters (Å, degrees): 7.3193 10.5118 7.4939 90.00 90.00 90.00
Fractional positions:
Ta 0.0008 0.2500 0.2422
Ta 0.4992 0.7500 0.7422
Ta 0.5008 0.2500 0.2578
Ta 0.9992 0.7500 0.7578
In 0.0075 0.7500 0.2979
In 0.2494 0.5086 0.9845
In 0.2494 0.9914 0.9845
In 0.2506 0.0086 0.4845
In 0.2506 0.4914 0.4845
In 0.4925 0.2500 0.7979
In 0.5075 0.7500 0.2021
In 0.7494 0.5086 0.5155
In 0.7494 0.9914 0.5155
In 0.7506 0.0086 0.0155
In 0.7506 0.4914 0.0155
In 0.9925 0.2500 0.7021
O 0.0244 0.1098 0.0769
O 0.0244 0.3902 0.0769
O 0.0246 0.6229 0.5439
O 0.0246 0.8771 0.5439
O 0.2463 0.1160 0.7381
O 0.2463 0.3840 0.7381
O 0.2490 0.2500 0.3169
O 0.2510 0.7500 0.8169
O 0.2537 0.6160 0.2381
O 0.2537 0.8840 0.2381
O 0.4754 0.1229 0.0439
O 0.4754 0.3771 0.0439
O 0.4756 0.6098 0.5769
O 0.4756 0.8902 0.5769
O 0.5244 0.1098 0.4231
O 0.5244 0.3902 0.4231
O 0.5246 0.6229 0.9561
O 0.5246 0.8771 0.9561
O 0.7463 0.1160 0.7619
O 0.7463 0.3840 0.7619
O 0.7490 0.2500 0.1831
O 0.7510 0.7500 0.6831
O 0.7537 0.6160 0.2619
O 0.7537 0.8840 0.2619
O 0.9754 0.1229 0.4561
O 0.9754 0.3771 0.4561
O 0.9756 0.6098 0.9231
O 0.9756 0.8902 0.9231

DFT (PBE-GGA) results for a relaxed Ta7InO19 crystal.

Calculated values
* size of the total moment: 0.0 μB per formula unit
* E_form: -3182 meV/atom
* MP2020-corrected energy: -0.3616 Ha/atom

Lattice parameters (Å, degrees): 6.2506 6.2506 20.2089 90.00 90.00 120.00
Fractional positions:
Ta 0.0000 0.0000 0.0000
Ta 0.0000 0.0000 0.5000
Ta 0.3347 0.0285 0.1556
Ta 0.3347 0.0285 0.3444
Ta 0.3347 0.3062 0.6556
Ta 0.3347 0.3062 0.8444
Ta 0.6938 0.0285 0.6556
Ta 0.6938 0.0285 0.8444
Ta 0.6938 0.6653 0.1556
Ta 0.6938 0.6653 0.3444
Ta 0.9715 0.3062 0.1556
Ta 0.9715 0.3062 0.3444
Ta 0.9715 0.6653 0.6556
Ta 0.9715 0.6653 0.8444
In 0.6667 0.3333 0.0000
In 0.6667 0.3333 0.5000
O 0.0000 0.0000 0.1642
O 0.0000 0.0000 0.3358
O 0.0000 0.0000 0.6642
O 0.0000 0.0000 0.8358
O 0.0868 0.4195 0.6529
O 0.0868 0.4195 0.8471
O 0.0868 0.6673 0.1529
O 0.0868 0.6673 0.3471
O 0.2964 0.0576 0.0550
O 0.2964 0.0576 0.4450
O 0.2964 0.2388 0.5550
O 0.2964 0.2388 0.9450
O 0.3327 0.4195 0.1529
O 0.3327 0.4195 0.3471
O 0.3327 0.9132 0.6529
O 0.3327 0.9132 0.8471
O 0.3724 0.0804 0.2500
O 0.3724 0.2920 0.7500
O 0.5805 0.6673 0.6529
O 0.5805 0.6673 0.8471
O 0.5805 0.9132 0.1529
O 0.5805 0.9132 0.3471
O 0.6667 0.3333 0.1349
O 0.6667 0.3333 0.3651
O 0.6667 0.3333 0.6349
O 0.6667 0.3333 0.8651
O 0.7080 0.0804 0.7500
O 0.7080 0.6276 0.2500
O 0.7612 0.0576 0.5550
O 0.7612 0.0576 0.9450
O 0.7612 0.7036 0.0550
O 0.7612 0.7036 0.4450
O 0.9196 0.2920 0.2500
O 0.9196 0.6276 0.7500
O 0.9424 0.2388 0.0550
O 0.9424 0.2388 0.4450
O 0.9424 0.7036 0.5550
O 0.9424 0.7036 0.9450

DFT (PBE-GGA) results for a relaxed TbInO3 crystal.

Calculated values
* size of the total moment: 0.0 μB per formula unit
* E_form: -2934 meV/atom
* MP2020-corrected energy: -0.2712 Ha/atom

Lattice parameters (Å, degrees): 5.8985 8.2045 5.5671 90.00 90.00 90.00
Fractional positions:
Tb 0.0648 0.2500 0.0211
Tb 0.4352 0.7500 0.5211
Tb 0.5648 0.2500 0.4789
Tb 0.9352 0.7500 0.9789
In 0.0000 0.0000 0.5000
In 0.0000 0.5000 0.5000
In 0.5000 0.0000 0.0000
In 0.5000 0.5000 0.0000
O 0.0697 0.7500 0.3558
O 0.1883 0.5736 0.8154
O 0.1883 0.9264 0.8154
O 0.3117 0.0736 0.3154
O 0.3117 0.4264 0.3154
O 0.4303 0.2500 0.8558
O 0.5697 0.7500 0.1442
O 0.6883 0.5736 0.6846
O 0.6883 0.9264 0.6846
O 0.8117 0.0736 0.1846
O 0.8117 0.4264 0.1846
O 0.9303 0.2500 0.6442

DFT (PBE-GGA) results for a relaxed Zn3In2O6 crystal.

Calculated values
* offset from the most stable computed form: 0 meV per atom
* size of the total moment: 0.0 μB per formula unit
* E_form: -1849 meV/atom
* MP2020-corrected energy: -0.1981 Ha/atom

Lattice parameters (Å, degrees): 5.9103 6.8355 14.5148 83.12 85.98 89.91
Fractional positions:
Zn 0.0000 0.0000 0.0000
Zn 0.0008 0.5080 0.0035
Zn 0.2357 0.3646 0.5737
Zn 0.2413 0.8589 0.5739
Zn 0.2989 0.4564 0.1965
Zn 0.3018 0.9570 0.1941
Zn 0.4359 0.6494 0.3938
Zn 0.4970 0.7545 0.0035
Zn 0.7347 0.6077 0.5761
Zn 0.7392 0.1147 0.5743
Zn 0.8064 0.2062 0.1931
Zn 0.9365 0.4128 0.3939
In 0.3684 0.0571 0.7860
In 0.3678 0.5603 0.7871
In 0.4356 0.1697 0.3805
In 0.4990 0.2519 0.0114
In 0.7973 0.7010 0.1948
In 0.8676 0.8073 0.7887
In 0.8723 0.3085 0.7866
In 0.9375 0.9026 0.3828
O 0.0233 0.0396 0.8615
O 0.0229 0.5382 0.8631
O 0.2125 0.8268 0.7129
O 0.2177 0.3276 0.7134
O 0.2617 0.4289 0.3618
O 0.2886 0.9040 0.3639
O 0.3167 0.9864 0.0438
O 0.3218 0.5031 0.0418
O 0.4103 0.1226 0.5341
O 0.4129 0.6202 0.5363
O 0.4503 0.7040 0.2049
O 0.4688 0.2026 0.2088
O 0.5210 0.7901 0.8629
O 0.5235 0.2883 0.8628
O 0.7144 0.5764 0.7149
O 0.7147 0.0773 0.7136
O 0.7630 0.6524 0.3570
O 0.7839 0.1762 0.3650
O 0.8246 0.7470 0.0406
O 0.8415 0.2408 0.0426
O 0.9103 0.3728 0.5368
O 0.9101 0.8691 0.5342
O 0.9679 0.9550 0.2222
O 0.9722 0.4423 0.2050

DFT (PBE-GGA) results for a relaxed Zn3In2O6 crystal.

Calculated values
* offset from the most stable computed form: 1 meV per atom
* size of the total moment: 0.0 μB per formula unit
* E_form: -1848 meV/atom
* MP2020-corrected energy: -0.1981 Ha/atom

Lattice parameters (Å, degrees): 5.8961 6.8151 14.4480 83.31 86.00 89.97
Fractional positions:
Zn 0.0000 0.0000 0.0000
Zn 0.0011 0.4904 0.0023
Zn 0.0645 0.0981 0.6108
Zn 0.1952 0.7936 0.8101
Zn 0.2617 0.8927 0.4281
Zn 0.2663 0.3842 0.4275
Zn 0.5025 0.2455 0.9999
Zn 0.5654 0.3373 0.6107
Zn 0.6990 0.5436 0.8095
Zn 0.7024 0.0445 0.8065
Zn 0.7583 0.6357 0.4287
Zn 0.7663 0.1415 0.4296
In 0.0638 0.5853 0.6193
In 0.1293 0.6915 0.2167
In 0.1326 0.1921 0.2138
In 0.2039 0.2894 0.8075
In 0.5019 0.7479 0.9929
In 0.5650 0.8487 0.6216
In 0.6324 0.4391 0.2168
In 0.6333 0.9438 0.2165
O 0.0295 0.0365 0.7952
O 0.0328 0.5568 0.7819
O 0.0904 0.6268 0.4675
O 0.0909 0.1310 0.4671
O 0.1612 0.7530 0.9607
O 0.1762 0.2567 0.9619
O 0.2179 0.8470 0.6379
O 0.2367 0.3227 0.6457
O 0.2865 0.4241 0.2882
O 0.2866 0.9232 0.2884
O 0.4778 0.7101 0.1407
O 0.4790 0.2107 0.1402
O 0.5330 0.7976 0.7928
O 0.5510 0.2972 0.7954
O 0.5879 0.3781 0.4670
O 0.5902 0.8801 0.4680
O 0.6791 0.0134 0.9608
O 0.6822 0.4984 0.9599
O 0.7150 0.5768 0.6383
O 0.7380 0.0981 0.6401
O 0.7834 0.6735 0.2891
O 0.7885 0.1733 0.2896
O 0.9770 0.4609 0.1411
O 0.9780 0.9597 0.1402